[1]
Material: NaMg30BO32
Method: DFT, PBE-GGA
State: relaxed

Values from the calculation:
calculated formation energy: -2.956 eV per atom

Cell and atoms, written as POSCAR:
```
NaMg30BO32
1.0
-7.751 2.504 2.757
0.651 -5.358 6.695
3.580 6.095 4.530
Mg O Na B
30 32 1 1
direct
0.752 0.752 0.000
0.752 0.248 0.000
0.000 0.742 0.255
0.258 0.000 0.745
0.500 0.500 0.500
0.251 0.500 0.250
0.248 0.752 0.500
0.752 0.752 0.500
0.000 0.258 0.255
0.248 0.248 0.500
0.500 0.000 0.500
0.742 0.000 0.255
0.000 0.742 0.745
0.500 0.749 0.750
0.248 0.248 0.000
0.752 0.248 0.500
0.000 0.258 0.745
0.749 0.500 0.250
0.749 0.500 0.750
0.500 0.000 0.000
0.000 0.500 0.500
0.000 0.500 0.000
0.251 0.500 0.750
0.500 0.251 0.750
0.248 0.752 0.000
0.258 0.000 0.255
0.742 0.000 0.745
0.500 0.749 0.250
0.500 0.251 0.250
0.500 0.500 0.000
0.261 0.000 0.500
0.247 0.247 0.250
0.748 0.500 0.500
0.000 0.261 0.500
0.251 0.500 0.000
0.000 0.743 0.000
0.247 0.753 0.750
0.500 0.252 0.500
0.500 0.500 0.750
0.500 0.000 0.250
0.753 0.753 0.250
0.753 0.247 0.250
0.247 0.247 0.750
0.753 0.247 0.750
0.000 0.500 0.250
0.500 0.500 0.250
0.749 0.500 0.000
0.000 0.000 0.334
0.500 0.000 0.750
0.000 0.000 0.666
0.000 0.739 0.500
0.247 0.753 0.250
0.252 0.500 0.500
0.739 0.000 0.500
0.753 0.753 0.750
0.257 0.000 0.000
0.000 0.500 0.750
0.500 0.251 0.000
0.500 0.749 0.000
0.743 0.000 0.000
0.000 0.257 0.000
0.500 0.748 0.500
0.000 0.000 0.000
0.000 0.000 0.500
```



[2]
Material: Na6MgSn7P12O48
Method: DFT, PBE-GGA
State: relaxed

Values from the calculation:
calculated formation energy: -2.553 eV per atom

Cell and atoms, written as POSCAR:
```
Na6MgSn7P12O48
1.0
-6.340 1.730 -16.251
4.183 -7.356 2.321
-19.787 -9.112 6.727
O Sn P Na Mg
144 21 36 18 3
direct
0.578 0.701 0.472
0.085 0.694 0.757
0.757 0.630 0.861
0.440 0.511 0.139
0.736 0.306 0.744
0.250 0.144 0.922
0.941 0.364 0.641
0.519 0.214 0.195
0.257 0.631 0.861
0.317 0.513 0.639
0.772 0.844 0.472
0.250 0.356 0.423
0.760 0.686 0.256
0.405 0.833 0.912
0.012 0.191 0.911
0.894 0.825 0.195
0.250 0.645 0.577
0.395 0.962 0.696
0.650 0.473 0.757
0.683 0.484 0.359
0.394 0.823 0.194
0.236 0.306 0.744
0.417 0.310 0.244
0.595 0.022 0.588
0.649 0.842 0.971
0.079 0.456 0.971
0.512 0.832 0.411
0.757 0.883 0.361
0.351 0.155 0.028
0.583 0.191 0.410
0.940 0.518 0.140
0.905 0.833 0.911
0.605 0.175 0.806
0.583 0.976 0.911
0.928 0.500 0.422
0.905 0.976 0.411
0.105 0.175 0.806
0.260 0.833 0.756
0.923 0.300 0.528
0.316 0.122 0.139
0.241 0.118 0.641
0.423 0.300 0.528
0.085 0.212 0.697
0.844 0.162 0.745
0.428 0.357 0.922
0.087 0.961 0.195
0.587 0.961 0.195
0.084 0.480 0.256
0.579 0.458 0.971
0.084 0.191 0.411
0.350 0.549 0.527
0.750 0.357 0.422
0.244 0.369 0.139
0.059 0.634 0.359
0.184 0.884 0.859
0.750 0.644 0.577
0.227 0.153 0.528
0.521 0.830 0.697
0.920 0.522 0.745
0.750 0.144 0.923
0.984 0.178 0.306
0.773 0.701 0.971
0.594 0.166 0.088
0.741 0.364 0.141
0.989 0.168 0.588
0.428 0.499 0.423
0.058 0.484 0.859
0.928 0.357 0.922
0.345 0.524 0.244
0.760 0.833 0.756
0.416 0.810 0.588
0.844 0.526 0.245
0.822 0.499 0.923
0.727 0.153 0.528
0.272 0.701 0.972
0.914 0.791 0.305
0.022 0.831 0.697
0.322 0.500 0.923
0.741 0.118 0.641
0.916 0.810 0.588
0.984 0.790 0.806
0.012 0.833 0.410
0.895 0.962 0.696
0.683 0.884 0.859
0.487 0.808 0.089
0.913 0.036 0.806
0.178 0.856 0.578
0.736 0.166 0.244
0.585 0.473 0.256
0.484 0.790 0.807
0.256 0.882 0.361
0.604 0.036 0.305
0.420 0.521 0.745
0.150 0.473 0.757
0.585 0.212 0.697
0.920 0.317 0.244
0.990 0.813 0.089
0.079 0.701 0.471
0.404 0.976 0.411
0.179 0.500 0.077
0.571 0.642 0.077
0.850 0.549 0.527
0.239 0.166 0.244
0.096 0.167 0.089
0.072 0.500 0.578
0.072 0.645 0.078
0.150 0.455 0.472
0.106 0.034 0.306
0.411 0.787 0.305
0.227 0.299 0.028
0.822 0.144 0.423
0.558 0.484 0.859
0.152 0.831 0.256
0.653 0.830 0.256
0.084 0.977 0.911
0.322 0.144 0.423
0.572 0.500 0.578
0.558 0.630 0.361
0.726 0.299 0.028
0.417 0.024 0.089
0.262 0.691 0.255
0.650 0.457 0.471
0.917 0.022 0.087
0.489 0.168 0.588
0.020 0.213 0.195
0.185 0.486 0.361
0.483 0.178 0.306
0.272 0.844 0.471
0.095 0.022 0.588
0.678 0.856 0.578
0.924 0.549 0.028
0.677 0.498 0.077
0.344 0.162 0.745
0.250 0.858 0.078
0.750 0.856 0.077
0.850 0.151 0.026
0.512 0.191 0.911
0.150 0.844 0.971
0.441 0.364 0.641
0.413 0.036 0.806
0.422 0.546 0.028
0.817 0.513 0.639
0.818 0.122 0.138
0.585 0.694 0.757
0.501 0.000 0.147
0.999 0.998 0.645
0.833 0.334 0.483
0.669 0.666 0.817
0.500 0.999 0.853
0.000 0.003 0.354
0.333 0.335 0.185
0.667 0.667 0.520
0.833 0.333 0.984
0.499 0.998 0.645
0.668 0.667 0.020
0.167 0.667 0.520
0.169 0.666 0.316
0.166 0.666 0.020
0.169 0.666 0.817
0.999 0.999 0.853
0.333 0.333 0.981
0.499 0.998 0.353
0.333 0.334 0.483
0.998 0.001 0.147
0.666 0.673 0.316
0.854 0.999 0.750
0.167 0.960 0.917
0.312 0.960 0.417
0.354 0.999 0.750
0.832 0.622 0.584
0.188 0.333 0.083
0.147 0.291 0.750
0.020 0.374 0.917
0.854 0.709 0.250
0.189 0.042 0.585
0.333 0.622 0.584
0.999 0.290 0.250
0.688 0.334 0.085
0.979 0.624 0.085
0.813 0.960 0.418
0.833 0.044 0.085
0.479 0.625 0.083
0.813 0.665 0.918
0.313 0.666 0.918
0.355 0.709 0.250
0.521 0.375 0.917
0.497 0.706 0.750
0.479 0.334 0.585
0.689 0.042 0.585
0.667 0.375 0.416
0.646 0.000 0.250
0.146 0.002 0.250
0.499 0.290 0.250
0.334 0.042 0.084
0.020 0.666 0.416
0.667 0.960 0.917
0.997 0.705 0.750
0.979 0.335 0.585
0.167 0.375 0.417
0.520 0.665 0.417
0.647 0.292 0.750
0.668 0.675 0.165
0.833 0.325 0.333
0.333 0.340 0.832
0.500 0.000 0.501
0.996 0.363 0.746
0.686 0.364 0.248
0.996 0.627 0.248
0.168 0.665 0.166
0.685 0.006 0.746
0.333 0.334 0.335
0.185 0.006 0.746
0.170 0.666 0.662
0.999 0.998 0.001
0.496 0.363 0.746
0.833 0.340 0.833
0.670 0.666 0.662
0.000 0.000 0.501
0.501 0.002 0.001
0.833 0.326 0.184
0.333 0.339 0.682
0.833 0.339 0.682
```



[3]
Material: KHfH2OF5
Method: DFT, PBE-GGA
State: relaxed

Values from the calculation:
calculated formation energy: -3.114 eV per atom

Cell and atoms, written as POSCAR:
```
KHfH2OF5
1.0
12.334 0.000 0.000
0.000 7.638 0.000
0.000 1.708 11.029
F H K Hf O
40 16 8 8 8
direct
0.273 0.747 0.114
0.799 0.790 0.774
0.727 0.253 0.886
0.880 0.062 0.258
0.300 0.283 0.504
0.351 0.489 0.252
0.380 0.525 0.698
0.200 0.283 0.004
0.629 0.749 0.884
0.149 0.489 0.752
0.773 0.253 0.386
0.120 0.525 0.198
0.120 0.938 0.742
0.851 0.511 0.248
0.227 0.747 0.614
0.380 0.938 0.242
0.866 0.446 0.521
0.129 0.966 0.028
0.371 0.251 0.116
0.201 0.210 0.226
0.858 0.987 0.523
0.700 0.717 0.496
0.620 0.475 0.302
0.800 0.717 0.996
0.642 0.987 0.023
0.366 0.554 0.979
0.620 0.062 0.758
0.649 0.511 0.748
0.134 0.554 0.479
0.129 0.251 0.616
0.299 0.210 0.726
0.871 0.749 0.384
0.629 0.034 0.472
0.358 0.013 0.977
0.634 0.446 0.021
0.701 0.790 0.274
0.371 0.966 0.528
0.871 0.034 0.972
0.142 0.013 0.477
0.880 0.475 0.802
0.645 0.251 0.551
0.653 0.069 0.146
0.649 0.417 0.625
0.855 0.251 0.051
0.149 0.583 0.875
0.351 0.583 0.375
0.851 0.417 0.125
0.847 0.069 0.646
0.153 0.931 0.354
0.145 0.749 0.949
0.336 0.751 0.800
0.836 0.249 0.700
0.347 0.931 0.854
0.355 0.749 0.449
0.164 0.751 0.300
0.664 0.249 0.200
0.538 0.798 0.648
0.462 0.202 0.352
0.962 0.798 0.148
0.024 0.296 0.380
0.524 0.704 0.120
0.038 0.202 0.852
0.476 0.296 0.880
0.976 0.704 0.620
0.754 0.529 0.393
0.762 0.977 0.377
0.738 0.977 0.877
0.254 0.471 0.107
0.238 0.023 0.623
0.246 0.471 0.607
0.746 0.529 0.893
0.262 0.023 0.123
0.146 0.619 0.957
0.354 0.619 0.457
0.156 0.880 0.277
0.854 0.381 0.043
0.656 0.120 0.223
0.844 0.120 0.723
0.344 0.880 0.777
0.646 0.381 0.543
```



[4]
Material: YScBe
Method: DFT, PBE-GGA
State: relaxed

Values from the calculation:
calculated formation energy: 0.884 eV per atom

Cell and atoms, written as POSCAR:
```
YScBe
1.0
-0.179 -1.863 4.203
-4.051 -1.228 1.801
-1.040 -4.453 0.500
Sc Y Be
1 1 1
direct
0.250 0.250 0.250
0.000 0.000 0.000
0.500 0.500 0.500
```